Computed, not measured: crystalline MnAlW2O8 at its relaxed geometry at the PBE with a Hubbard U level of DFT.

## Properties
offset from the most stable computed form = 2 meV per atom
final energy = -7.587 eV per atom
total magnetic moment = 2.00 μB/cell
ΔE_f = -2389.3 meV/atom

Cell: 5.1228 5.6743 9.2702 Å, 90.00 91.57 90.00°
Last column: nearest neighbours and their distance in Å.
Atoms (fractional coordinates):
O (0.8756, 0.6089, 0.6248)  1 W 1.87, 1 Al 2.05
Al (0.2500, 0.6563, 0.2500)  6 O 1.91-2.02
O (0.0717, 0.8786, 0.3869)  2 W 2.01-2.15, 1 Al 2.02
O (0.0612, 0.3587, 0.8561)  1 Al 1.85, 1 W 1.95
Mn (0.2500, 0.6430, 0.7500)  6 O 2.13-2.22
W (0.2480, 0.1695, 0.5012)  5 O 1.88-2.10
O (0.5842, 0.1150, 0.3927)  2 W 2.01-2.04, 1 Mn 2.06
Mn (0.7500, 0.3465, 0.2500)  6 O 2.06-2.20
O (0.4388, 0.3587, 0.6439)  1 Al 1.85, 1 W 1.95
O (0.6244, 0.6089, 0.8752)  1 W 1.87, 1 Al 2.05
O (0.1233, 0.3974, 0.3695)  1 W 1.88, 1 Al 1.96
O (0.4315, 0.8857, 0.6075)  2 W 1.94-2.10, 1 Mn 2.14
Al (0.7500, 0.3354, 0.7500)  6 O 1.85-2.05
W (0.7567, 0.8379, 0.0022)  5 O 1.87-2.01
O (0.0685, 0.8857, 0.8925)  2 W 1.94-2.10, 1 Mn 2.14
O (0.3767, 0.3974, 0.1305)  1 W 1.88, 1 Al 1.96
O (0.9310, 0.6446, 0.1393)  1 W 1.89, 1 Al 1.91
W (0.7433, 0.8379, 0.4978)  5 O 1.87-2.01
O (0.5690, 0.6446, 0.3607)  1 W 1.89, 1 Al 1.91
O (0.4283, 0.8786, 0.1131)  2 W 2.01-2.15, 1 Al 2.02
O (0.5815, 0.1131, 0.8833)  1 Al 1.98, 2 W 2.05-2.10
W (0.2520, 0.1695, 0.9988)  5 O 1.88-2.10
O (0.9158, 0.1150, 0.1073)  2 W 2.01-2.04, 1 Mn 2.06
O (0.9185, 0.1131, 0.6167)  1 Al 1.98, 2 W 2.05-2.10

=====

Computed, not measured: crystalline MnAlW2O8 at its relaxed geometry at the PBE with a Hubbard U level of DFT.

## Properties
offset from the most stable computed form = 0 meV per atom
final energy = -7.589 eV per atom
total magnetic moment = 0.00 μB/cell
ΔE_f = -2391.7 meV/atom

Cell: 5.1219 5.6721 9.2761 Å, 90.00 91.47 90.00°
Last column: nearest neighbours and their distance in Å.
Atoms (fractional coordinates):
O (0.3781, 0.3917, 0.1242)  1 W 1.89, 1 Al 2.00
O (0.4336, 0.3610, 0.6450)  1 Al 1.84, 1 W 1.95
Mn (0.2513, 0.6511, 0.7476)  6 O 2.08-2.22
Al (0.7478, 0.3428, 0.7451)  5 O 1.84-2.00
O (0.5705, 0.1199, 0.8897)  2 W 1.99-2.13, 1 Al 2.07
W (0.2417, 0.1620, 0.9960)  5 O 1.87-2.00
W (0.7461, 0.8293, 0.0011)  4 O 1.87-2.06
O (0.8780, 0.6082, 0.6242)  1 W 1.89, 1 Al 2.00
O (0.9332, 0.1100, 0.1083)  2 W 1.94-2.10, 1 Mn 2.11
O (0.0705, 0.8801, 0.3897)  2 W 1.99-2.13, 1 Al 2.07
O (0.5656, 0.6441, 0.3621)  1 W 1.87, 1 Al 1.93
W (0.7417, 0.8380, 0.4960)  5 O 1.87-2.00
Al (0.2478, 0.6572, 0.2451)  5 O 1.84-2.00
O (0.6274, 0.6037, 0.8684)  1 W 1.87, 1 Al 1.98
O (0.0655, 0.3559, 0.8621)  1 W 1.87, 1 Al 1.93
O (0.4181, 0.8836, 0.1192)  1 Al 1.96, 2 W 2.05-2.14
O (0.0866, 0.8835, 0.8932)  2 W 2.00-2.06, 1 Mn 2.08
O (0.9336, 0.6391, 0.1450)  1 Al 1.84, 1 W 1.95
Mn (0.7514, 0.3489, 0.2476)  6 O 2.08-2.22
O (0.5866, 0.1165, 0.3932)  2 W 2.00-2.06, 1 Mn 2.08
W (0.2461, 0.1707, 0.5011)  4 O 1.87-2.06
O (0.9181, 0.1164, 0.6192)  1 Al 1.96, 2 W 2.05-2.14
O (0.4332, 0.8900, 0.6083)  2 W 1.94-2.10, 1 Mn 2.11
O (0.1275, 0.3964, 0.3684)  1 W 1.87, 1 Al 1.98

=====

Computed, not measured: crystalline MnAlW2O8 at its relaxed geometry at the PBE with a Hubbard U level of DFT.

## Properties
offset from the most stable computed form = 6 meV per atom
final energy = -7.583 eV per atom
total magnetic moment = 8.00 μB/cell
ΔE_f = -2385.8 meV/atom

Cell: 5.1276 5.7013 9.3043 Å, 90.53 91.95 88.61°
Last column: nearest neighbours and their distance in Å.
Atoms (fractional coordinates):
W (0.2503, 0.1620, 0.5027)  5 O 1.91-2.05
Mn (0.2496, 0.6533, 0.7425)  6 O 2.06-2.29
O (0.4162, 0.8885, 0.6079)  2 W 2.00-2.04, 1 Mn 2.06
O (0.6275, 0.6040, 0.8762)  1 W 1.85, 1 Al 2.07
O (0.8782, 0.6065, 0.6306)  1 W 1.91, 1 Al 1.91
O (0.1218, 0.3934, 0.3694)  1 W 1.91, 1 Al 1.91
O (0.3727, 0.3961, 0.1238)  1 W 1.85, 1 Al 2.07
W (0.7497, 0.8380, 0.4974)  6 O 1.91-2.14
O (0.0782, 0.8815, 0.3817)  1 Al 1.89, 1 W 2.05
O (0.5660, 0.6385, 0.3536)  1 Al 1.82, 1 W 1.98
O (0.4339, 0.3616, 0.6463)  1 Al 1.82, 1 W 1.98
Al (0.2445, 0.6533, 0.2647)  4 O 1.82-1.95
O (0.5837, 0.1114, 0.3922)  2 W 2.00-2.04, 1 Mn 2.06
W (0.7558, 0.8304, 0.0011)  4 O 1.85-1.99
O (0.9373, 0.1149, 0.1085)  2 W 1.94-2.12, 1 Mn 2.14
O (0.4295, 0.8874, 0.1081)  2 W 1.99-2.10
Al (0.7554, 0.3467, 0.7353)  4 O 1.82-1.95
O (0.0630, 0.8853, 0.8914)  2 W 1.94-2.11, 1 Mn 2.14
O (0.0654, 0.3528, 0.8620)  1 W 1.86, 1 Al 1.95
O (0.5706, 0.1127, 0.8919)  2 W 1.99-2.10
O (0.9348, 0.6472, 0.1380)  1 W 1.86, 1 Al 1.95
Mn (0.7499, 0.3463, 0.2577)  6 O 2.06-2.30
W (0.2443, 0.1696, 0.9989)  4 O 1.85-1.99
O (0.9218, 0.1186, 0.6183)  1 Al 1.89, 1 W 2.05

=====

Computed, not measured: crystalline MnAlW2O8 at its relaxed geometry at the PBE with a Hubbard U level of DFT.

## Properties
offset from the most stable computed form = 4 meV per atom
final energy = -7.585 eV per atom
total magnetic moment = 12.00 μB/cell
ΔE_f = -2387.9 meV/atom

Cell: 5.1238 5.6758 9.2794 Å, 90.00 91.59 90.00°
Last column: nearest neighbours and their distance in Å.
Atoms (fractional coordinates):
O (0.9161, 0.1145, 0.1076)  2 W 2.01-2.04, 1 Mn 2.06
Mn (0.7500, 0.3461, 0.2500)  6 O 2.06-2.20
O (0.4280, 0.8783, 0.1132)  2 W 2.01-2.15, 1 Al 2.03
O (0.5688, 0.6440, 0.3609)  1 W 1.89, 1 Al 1.91
O (0.3777, 0.3972, 0.1308)  1 W 1.88, 1 Al 1.96
W (0.2516, 0.1698, 0.9990)  5 O 1.88-2.10
W (0.2484, 0.1698, 0.5010)  5 O 1.88-2.10
Al (0.7500, 0.3353, 0.7500)  6 O 1.85-2.06
O (0.0720, 0.8783, 0.3868)  2 W 2.01-2.15, 1 Al 2.03
Mn (0.2500, 0.6459, 0.7500)  6 O 2.13-2.22
O (0.4389, 0.3585, 0.6441)  1 Al 1.85, 1 W 1.95
W (0.7436, 0.8376, 0.4977)  5 O 1.87-2.01
O (0.9185, 0.1133, 0.6164)  1 Al 1.98, 2 W 2.05-2.10
O (0.5815, 0.1133, 0.8836)  1 Al 1.98, 2 W 2.05-2.10
O (0.1223, 0.3972, 0.3692)  1 W 1.88, 1 Al 1.96
O (0.5839, 0.1145, 0.3924)  2 W 2.01-2.04, 1 Mn 2.06
Al (0.2500, 0.6556, 0.2500)  6 O 1.91-2.03
O (0.0682, 0.8861, 0.8925)  2 W 1.94-2.10, 1 Mn 2.13
O (0.0611, 0.3585, 0.8559)  1 Al 1.85, 1 W 1.95
W (0.7564, 0.8376, 0.0023)  5 O 1.87-2.01
O (0.6236, 0.6093, 0.8750)  1 W 1.87, 1 Al 2.06
O (0.9312, 0.6440, 0.1391)  1 W 1.89, 1 Al 1.91
O (0.4318, 0.8861, 0.6075)  2 W 1.94-2.10, 1 Mn 2.13
O (0.8764, 0.6093, 0.6250)  1 W 1.87, 1 Al 2.06

=====

Computed, not measured: crystalline NaAlMo2O8 at its relaxed geometry at the PBE with a Hubbard U level of DFT.

## Properties
final energy = -6.872 eV per atom
total magnetic moment = 0.00 μB/cell
ΔE_f = -2335.2 meV/atom

Cell: 5.5820 5.5820 13.5311 Å, 89.82 89.82 57.96°
Last column: nearest neighbours and their distance in Å.
Atoms (fractional coordinates):
O (0.2544, 0.8921, 0.6095)  1 Mo 1.83, 1 Al 1.92
Al (0.0000, 0.0000, 0.0000)  6 O 1.90-1.92
O (0.8921, 0.2544, 0.1095)  1 Mo 1.83, 1 Al 1.92
O (0.6212, 0.2050, 0.9508)  1 Mo 1.79, 1 Al 1.91
Na (0.0710, 0.9290, 0.2500)  4 O 2.45-2.53
O (0.3788, 0.7950, 0.0492)  1 Mo 1.79, 1 Al 1.91
O (0.7950, 0.3788, 0.5492)  1 Mo 1.79, 1 Al 1.91
O (0.0857, 0.2241, 0.9196)  1 Mo 1.82, 1 Al 1.90
O (0.7759, 0.9143, 0.5804)  1 Mo 1.82, 1 Al 1.90
O (0.2050, 0.6212, 0.4508)  1 Mo 1.79, 1 Al 1.91
O (0.9143, 0.7759, 0.0804)  1 Mo 1.82, 1 Al 1.90
Na (0.9290, 0.0710, 0.7500)  4 O 2.45-2.53
O (0.7348, 0.5952, 0.7431)  1 Mo 1.75
Al (0.0000, 0.0000, 0.5000)  6 O 1.90-1.92
O (0.2652, 0.4048, 0.2569)  1 Mo 1.75
O (0.1079, 0.7456, 0.8905)  1 Mo 1.83, 1 Al 1.92
Mo (0.3019, 0.3607, 0.8800)  4 O 1.75-1.83
O (0.7456, 0.1079, 0.3905)  1 Mo 1.83, 1 Al 1.92
Mo (0.6981, 0.6393, 0.1200)  4 O 1.75-1.83
O (0.2241, 0.0857, 0.4196)  1 Mo 1.82, 1 Al 1.90
O (0.5952, 0.7348, 0.2431)  1 Mo 1.75
Mo (0.6393, 0.6981, 0.6200)  4 O 1.75-1.83
Mo (0.3607, 0.3019, 0.3800)  4 O 1.75-1.83
O (0.4048, 0.2652, 0.7569)  1 Mo 1.75

=====

Computed, not measured: crystalline AlMoP2O9 at its relaxed geometry at the PBE with a Hubbard U level of DFT.

## Properties
final energy = -7.376 eV per atom
total magnetic moment = 4.01 μB/cell
ΔE_f = -2716.9 meV/atom

Cell: 8.9855 8.9855 8.8772 Å, 90.00 90.00 90.00°
Last column: nearest neighbours and their distance in Å.
Atoms (fractional coordinates):
O (0.8525, 0.6615, 0.2332)  1 P 1.55
Al (0.0000, 0.0000, 0.5000)  4 O 1.75
O (0.6015, 0.6261, 0.1088)  1 P 1.53
O (0.8385, 0.3525, 0.2332)  1 P 1.55
O (0.1015, 0.8739, 0.3912)  1 P 1.53
O (0.8985, 0.1261, 0.3912)  1 P 1.53
O (0.3525, 0.8385, 0.2668)  1 P 1.55
P (0.1820, 0.1820, 0.7500)  4 O 1.53-1.55
Al (0.5000, 0.5000, 0.5000)  4 O 1.75
O (0.6615, 0.8525, 0.2668)  1 P 1.55
O (0.3739, 0.6015, 0.8912)  1 P 1.53
O (0.3385, 0.8525, 0.7668)  1 P 1.55
O (0.1261, 0.1015, 0.6088)  1 P 1.53
P (0.1820, 0.8180, 0.2500)  4 O 1.53-1.55
O (0.6015, 0.3739, 0.6088)  1 P 1.53
O (0.6475, 0.1615, 0.2668)  1 P 1.55
O (0.3985, 0.3739, 0.1088)  1 P 1.53
O (0.8385, 0.6475, 0.7332)  1 P 1.55
Mo (0.5000, 0.0000, 0.8184)  1 O 1.71
O (0.1615, 0.6475, 0.2332)  1 P 1.55
O (0.8525, 0.3385, 0.7332)  1 P 1.55
O (0.3739, 0.3985, 0.3912)  1 P 1.53
O (0.1475, 0.6615, 0.7332)  1 P 1.55
P (0.8180, 0.8180, 0.7500)  4 O 1.53-1.55
O (0.0000, 0.5000, 0.4891)  1 Mo 1.71
O (0.8985, 0.8739, 0.8912)  1 P 1.53
Mo (0.5000, 0.0000, 0.3184)  1 O 1.71
O (0.5000, 0.0000, 0.5109)  1 Mo 1.71
O (0.3985, 0.6261, 0.6088)  1 P 1.53
P (0.3180, 0.6820, 0.7500)  4 O 1.53-1.55
O (0.6615, 0.1475, 0.7668)  1 P 1.55
P (0.8180, 0.1820, 0.2500)  4 O 1.53-1.55
O (0.6261, 0.3985, 0.8912)  1 P 1.53
O (0.3385, 0.1475, 0.2668)  1 P 1.55
O (0.5000, 0.0000, 0.0109)  1 Mo 1.71
O (0.6261, 0.6015, 0.3912)  1 P 1.53
P (0.3180, 0.3180, 0.2500)  4 O 1.53-1.55
Al (0.0000, 0.0000, 0.0000)  4 O 1.75
O (0.1615, 0.3525, 0.7332)  1 P 1.55
Mo (0.0000, 0.5000, 0.6816)  1 O 1.71
O (0.1261, 0.8985, 0.1088)  1 P 1.53
O (0.6475, 0.8385, 0.7668)  1 P 1.55
O (0.3525, 0.1615, 0.7668)  1 P 1.55
P (0.6820, 0.6820, 0.2500)  4 O 1.53-1.55
Mo (0.0000, 0.5000, 0.1816)  1 O 1.71
Al (0.5000, 0.5000, 0.0000)  4 O 1.75
O (0.0000, 0.5000, 0.9891)  1 Mo 1.71
O (0.8739, 0.1015, 0.1088)  1 P 1.53
O (0.8739, 0.8985, 0.6088)  1 P 1.53
P (0.6820, 0.3180, 0.7500)  4 O 1.53-1.55
O (0.1015, 0.1261, 0.8912)  1 P 1.53
O (0.1475, 0.3385, 0.2332)  1 P 1.55

=====

Computed, not measured: crystalline Rb5AlMo4O16 at its relaxed geometry at the PBE with a Hubbard U level of DFT.

## Properties
final energy = -6.288 eV per atom
total magnetic moment = 0.01 μB/cell
ΔE_f = -2157.6 meV/atom

Cell: 6.1956 8.4585 10.6287 Å, 69.01 90.10 90.14°
Last column: nearest neighbours and their distance in Å.
Atoms (fractional coordinates):
O (0.7606, 0.8130, 0.4993)  1 Mo 1.77
Mo (0.9932, 0.2002, 0.6005)  4 O 1.79-1.81
O (0.2267, 0.2267, 0.4933)  1 Mo 1.81
Rb (0.4931, 0.1166, 0.3249)  5 O 2.83-3.06
Rb (0.4938, 0.9077, 0.7037)  3 O 2.78-3.06
Mo (0.9918, 0.8253, 0.3993)  4 O 1.75-1.94
O (0.4910, 0.4933, 0.8044)  1 Mo 1.73
O (0.7263, 0.7113, 0.9849)  1 Mo 1.79
O (0.9919, 0.6464, 0.3538)  1 Mo 1.75
O (0.2238, 0.8138, 0.4990)  1 Mo 1.77
Al (0.9904, 0.1389, 0.0720)  3 O 1.70-1.72
Mo (0.4911, 0.2822, 0.9094)  4 O 1.71-1.90
Mo (0.4939, 0.7022, 0.0873)  4 O 1.79-1.81
O (0.4995, 0.8707, 0.1552)  1 Mo 1.81
Rb (0.9936, 0.6351, 0.7933)  4 O 2.81-3.01
Rb (0.4920, 0.5055, 0.4903)  5 O 2.86-3.12
Rb (0.9935, 0.4507, 0.2117)  1 O 2.61
O (0.4919, 0.4944, 0.2195)  1 Mo 1.81
O (0.7579, 0.2279, 0.4943)  1 Mo 1.81
O (0.9921, 0.0306, 0.2408)  1 Al 1.70
O (0.9922, 0.9883, 0.7206)  1 Mo 1.79
O (0.9959, 0.3508, 0.6852)  1 Mo 1.80
O (0.7527, 0.2423, 0.0088)  1 Al 1.72, 1 Mo 1.90
O (0.2296, 0.2405, 0.0086)  1 Al 1.72, 1 Mo 1.90
O (0.2573, 0.7155, 0.9869)  1 Mo 1.79
O (0.4922, 0.1673, 0.8057)  1 Mo 1.71

=====

Computed, not measured: crystalline Sr4Al6MoO16 at its relaxed geometry at the PBE with a Hubbard U level of DFT.

## Properties
offset from the most stable computed form = 6 meV per atom
final energy = -7.179 eV per atom
total magnetic moment = 0.00 μB/cell
ΔE_f = -3288.7 meV/atom

Cell: 8.2885 8.2885 8.2885 Å, 109.98 109.98 108.45°
Last column: nearest neighbours and their distance in Å.
Atoms (fractional coordinates):
O (0.3477, 0.0020, 0.6543)  2 Al 1.75-1.76
O (0.1083, 0.9542, 0.8459)  1 Mo 1.80
Al (0.2500, 0.7500, 0.5000)  4 O 1.75
O (0.9980, 0.6523, 0.3457)  2 Al 1.75-1.76
Sr (0.0086, 0.9914, 0.5000)  8 O 2.62-2.85
O (0.6644, 0.0011, 0.3367)  2 Al 1.76
Al (0.7481, 0.4964, 0.2517)  4 O 1.76
Sr (0.4914, 0.9914, 0.9827)  8 O 2.62-2.85
Sr (0.0086, 0.5086, 0.0173)  8 O 2.62-2.85
O (0.9989, 0.3356, 0.6633)  2 Al 1.76
Sr (0.4914, 0.5086, 0.5000)  8 O 2.62-2.85
O (0.0458, 0.8917, 0.1541)  1 Mo 1.80
O (0.3066, 0.6523, 0.6543)  2 Al 1.75-1.76
O (0.3394, 0.3394, 0.6788)  2 Al 1.76
O (0.1083, 0.2624, 0.1541)  1 Mo 1.80
Al (0.5036, 0.2519, 0.7483)  4 O 1.76
O (0.3394, 0.6606, 0.0000)  2 Al 1.76
O (0.6606, 0.6606, 0.3212)  2 Al 1.76
O (0.3477, 0.6934, 0.3457)  2 Al 1.75-1.76
O (0.6723, 0.3356, 0.3367)  2 Al 1.76
Mo (0.0000, 0.0000, 0.0000)  4 O 1.80
Al (0.5036, 0.7552, 0.2517)  4 O 1.76
O (0.6606, 0.3394, 0.0000)  2 Al 1.76
Al (0.2448, 0.4964, 0.7483)  4 O 1.76
O (0.6644, 0.3277, 0.6633)  2 Al 1.76
Al (0.7500, 0.2500, 0.5000)  4 O 1.76
O (0.7376, 0.8917, 0.8459)  1 Mo 1.80